# 1
A plane-wave DFT calculation with meta-GGA r2SCAN was carried out for CeTl3 after structural relaxation.

Summary:
uncorrected energy	-47.92	eV/atom
magnetization	0.319	μB per atom
energy relative to the elements	-0.33	eV/atom

Cell lengths 4.8061, 4.8061, 4.8061 Å; angles 90.00, 90.00, 90.00 degrees
Closest atoms and distances in Å follow each position.
Positions (direct):
Tl: 0.5000 0.5000 0.0000  8 Tl 3.40, 4 Ce 3.40
Tl: 0.0000 0.5000 0.5000  8 Tl 3.40, 4 Ce 3.40
Ce: 0.0000 0.0000 0.0000  12 Tl 3.40
Tl: 0.5000 0.0000 0.5000  4 Ce 3.40, 8 Tl 3.40

# 2
A plane-wave DFT calculation with meta-GGA r2SCAN was carried out for CeYTl2 after structural relaxation.

Summary:
uncorrected energy	-39.84	eV/atom
magnetization	0.157	μB per atom
energy relative to the elements	-0.46	eV/atom

Cell lengths 5.4364, 5.4364, 5.4364 Å; angles 60.00, 60.00, 60.00 degrees
Closest atoms and distances in Å follow each position.
Positions (direct):
Tl: 0.5000 0.5000 0.5000  4 Y 3.33, 4 Ce 3.33
Tl: 0.0000 0.0000 0.0000  4 Y 3.33, 4 Ce 3.33
Ce: 0.2500 0.2500 0.2500  8 Tl 3.33
Y: 0.7500 0.7500 0.7500  8 Tl 3.33

# 3
A plane-wave DFT calculation with meta-GGA r2SCAN was carried out for CeZn11 after structural relaxation.

Summary:
uncorrected energy	-10.97	eV/atom
magnetization	0.105	μB per atom
energy relative to the elements	-0.23	eV/atom

Cell lengths 8.1609, 8.1609, 8.1609 Å; angles 99.99, 99.99, 130.78 degrees
Closest atoms and distances in Å follow each position.
Positions (direct):
Zn: 0.3477 0.1756 0.4167  9 Zn 2.57-2.85
Zn: 0.0690 0.2411 0.4167  9 Zn 2.57-2.85
Zn: 0.1250 0.3750 0.7500  10 Zn 2.58-2.76
Zn: 0.4256 0.5089 0.3279  9 Zn 2.57-2.85
Zn: 0.0690 0.6523 0.8279  9 Zn 2.57-2.85
Zn: 0.1810 0.0977 0.6721  9 Zn 2.57-2.85
Zn: 0.8244 0.2411 0.1721  9 Zn 2.57-2.85
Ce: 0.0000 0.0000 0.0000  18 Zn 3.25-3.40
Zn: 0.9023 0.5744 0.0833  9 Zn 2.57-2.85
Zn: 0.8244 0.6523 0.5833  9 Zn 2.57-2.85
Ce: 0.2500 0.7500 0.5000  18 Zn 3.25-3.40
Zn: 0.9023 0.8190 0.3279  9 Zn 2.57-2.85
Zn: 0.6250 0.3750 0.7500  10 Zn 2.58-2.76
Zn: 0.6250 0.8750 0.2500  10 Zn 2.58-2.76
Zn: 0.7589 0.1756 0.8279  9 Zn 2.57-2.85
Zn: 0.1810 0.5089 0.0833  9 Zn 2.57-2.85
Zn: 0.3477 0.9310 0.1721  9 Zn 2.57-2.85
Zn: 0.7500 0.2500 0.5000  12 Zn 2.76-2.84
Zn: 0.7589 0.9310 0.5833  9 Zn 2.57-2.85
Zn: 0.4911 0.8190 0.9167  9 Zn 2.57-2.85
Zn: 0.4911 0.5744 0.6721  9 Zn 2.57-2.85
Zn: 0.5000 0.5000 0.0000  12 Zn 2.76-2.84
Zn: 0.4256 0.0977 0.9167  9 Zn 2.57-2.85
Zn: 0.6250 0.3750 0.2500  10 Zn 2.58-2.76

Question: Which value of energy relative to the elements does entry 3 give?
Answer: -0.23 eV/atom